Density functional theory data (PBE) for crystalline SiPH18C6INCl at its relaxed geometry.

Volume, A^3/atom: 12.87
Formation enthalpy at 0 K, eV per atom: -0.26
VASP energy, eV per atom: -5.035
MP2020-corrected energy, eV per atom: -5.0565
Crystal system: orthorhombic
Total magnetic moment, μB/f.u.: 0.00

Unit cell a=13.2593 b=13.2593 c=13.2593 alpha=134.90 beta=108.78 gamma=88.40
Element x y z (fractional)
H  0.0476  0.7897  0.6968
H  0.2502  0.5899  0.6400
H  0.4491  0.4535  0.7869
H  0.5290  0.3268  0.7401
H  0.9034  0.7822  0.6472
H  0.1785  0.3111  0.7790
H  0.3262  0.3862  0.8899
H  0.9510  0.7947  0.1327
H  0.8215  0.6005  0.1326
H  0.5509  0.3377  0.0044
H  0.7731  0.5773  0.3446
H  0.8333  0.0430  0.9936
H  0.7081  0.8777  0.0054
H  0.2416  0.3718  0.9620
H  0.2967  0.6991  0.2728
H  0.1350  0.2822  0.3788
H  0.1667  0.1604  0.2097
H  0.1910  0.5996  0.5059
H  0.0494  0.5430  0.7097
H  0.3072  0.0634  0.4289
H  0.5737  0.4761  0.7728
H  0.8498  0.4516  0.8344
H  0.2351  0.4520  0.2511
H  0.2269  0.5714  0.8042
H  0.7584  0.7203  0.1302
H  0.3334  0.8377  0.2869
H  0.2940  0.7588  0.9975
H  0.0490  0.1817  0.8437
H  0.0937  0.0996  0.9086
H  0.9506  0.6604  0.4936
H  0.4263  0.1991  0.9024
H  0.8090  0.3149  0.4086
H  0.7672  0.0714  0.8446
H  0.4678  0.1005  0.2790
H  0.0929  0.2897  0.2421
H  0.9524  0.6492  0.7421
H  0.2919  0.2973  0.1696
H  0.9071  0.1492  0.1968
H  0.4099  0.8718  0.6302
H  0.5037  0.0636  0.3899
H  0.6620  0.2947  0.3437
H  0.1277  0.7973  0.5054
H  0.3828  0.4846  0.3344
H  0.0501  0.8898  0.1400
H  0.2328  0.0773  0.3042
H  0.2387  0.2035  0.4975
H  0.4133  0.7111  0.2401
H  0.6666  0.9535  0.5044
H  0.3655  0.6217  0.9289
H  0.9499  0.0899  0.8397
H  0.7649  0.0160  0.2169
H  0.0966  0.7438  0.8788
H  0.5322  0.8111  0.6326
H  0.5901  0.2203  0.4620
H  0.6172  0.9516  0.1018
H  0.8723  0.3777  0.6696
H  0.1502  0.9846  0.6018
H  0.7613  0.2588  0.9648
H  0.6928  0.1217  0.7562
H  0.2009  0.9520  0.7169
H  0.6345  0.5634  0.2562
H  0.7498  0.3898  0.3397
H  0.3380  0.6817  0.6327
H  0.6738  0.5636  0.0599
H  0.4963  0.8862  0.5599
H  0.5867  0.8268  0.2978
H  0.4710  0.2111  0.7978
H  0.7991  0.5160  0.7511
H  0.8650  0.2438  0.1472
H  0.9063  0.8149  0.0059
H  0.7060  0.7035  0.4648
H  0.7033  0.9761  0.4024
P  0.9979  0.6238  0.9103
P  0.0021  0.9125  0.6259
P  0.2866  0.4125  0.4103
P  0.7134  0.1238  0.1259
C  0.7161  0.6430  0.3569
C  0.2644  0.5881  0.5616
C  0.4999  0.3933  0.7218
C  0.1578  0.2715  0.2996
C  0.2861  0.1430  0.4270
C  0.5033  0.1525  0.3986
C  0.8422  0.1418  0.1137
C  0.0281  0.6418  0.7996
C  0.4967  0.8952  0.6491
C  0.1336  0.9117  0.6115
C  0.7356  0.2972  0.3236
C  0.7139  0.1408  0.8569
C  0.0265  0.0881  0.8236
C  0.3002  0.4117  0.2782
C  0.2839  0.6408  0.9270
C  0.7539  0.6525  0.1491
C  0.8664  0.4779  0.7782
C  0.6998  0.9779  0.1115
C  0.3285  0.7219  0.2218
C  0.9735  0.7972  0.0616
C  0.6715  0.8933  0.3934
C  0.2461  0.3952  0.8986
C  0.9719  0.7715  0.6137
C  0.5001  0.2219  0.8934
I  0.9522  0.0499  0.4907
I  0.5591  0.5499  0.5977
I  0.0478  0.5385  0.0977
I  0.4409  0.0385  0.9907
N  0.9036  0.8861  0.4920
N  0.0964  0.5883  0.9824
N  0.6059  0.0883  0.9920
N  0.3941  0.3861  0.4824
Cl  0.9957  0.4762  0.2288
Cl  0.2474  0.9762  0.9805
Cl  0.7526  0.7331  0.7288
Cl  0.0043  0.2331  0.4805
Si  0.7645  0.7703  0.3514
Si  0.5811  0.0869  0.8514
Si  0.4189  0.2703  0.5058
Si  0.2355  0.5869  0.0058